# Cr2Bi3O11

Cr2Bi3O11 after structural relaxation (GGA+U, Materials Project).

```
64
Lattice="14.1887 0.0000 0.0000 0.0000 12.3797 0.0000 -0.2581 0.0000 5.6411" Properties=species:S:1:pos:R:3 pbc="T T T"
Cr 1.4856 1.5204 0.9188
Cr 1.3565 4.6694 3.7394
Cr 4.4777 7.3263 3.7449
Cr 4.6067 11.2432 0.9243
Cr 9.3239 1.1364 4.7168
Cr 9.4530 5.0534 1.8963
Cr 12.5742 7.7103 1.9018
Cr 12.4451 10.8593 4.7223
Bi 0.8544 8.0226 4.6892
Bi 0.9834 10.5469 1.8686
Bi 4.2933 1.7718 4.2676
Bi 4.4224 4.4180 1.4471
Bi 6.9820 1.5325 1.8692
Bi 6.8529 4.6574 4.6897
Bi 7.0777 7.7223 0.9514
Bi 6.9487 10.8472 3.7720
Bi 9.5083 7.9617 4.1941
Bi 9.6373 10.6079 1.3735
Bi 12.9472 1.8328 3.7725
Bi 13.0763 4.3571 0.9519
O 0.3222 2.5753 0.2470
O 0.1932 3.6145 3.0676
O 0.9692 0.9145 2.3914
O 0.8402 5.2753 5.2120
O 1.3458 0.2734 5.5090
O 1.4748 5.9165 2.6884
O 1.9055 8.8660 0.8714
O 1.7765 9.7035 3.6920
O 2.9502 2.3160 1.0393
O 2.8212 3.8738 3.8599
O 3.1137 7.2071 4.6986
O 3.2428 11.3624 1.8780
O 4.1123 7.9245 2.2941
O 3.9832 10.6451 5.1147
O 5.2899 0.4342 0.5998
O 5.1608 5.7556 3.4203
O 5.4366 3.0176 2.7463
O 5.3076 3.1722 5.5668
O 5.6470 8.2849 4.4838
O 5.7760 10.2847 1.6632
O 5.9265 0.5176 3.4843
O 6.0556 5.6723 0.6637
O 7.8751 6.7074 4.9774
O 8.0041 11.8621 2.1569
O 8.1546 2.0950 3.9779
O 8.2837 4.0948 1.1573
O 8.6231 9.2075 0.0743
O 8.4940 9.3621 2.8949
O 8.7698 6.6241 2.2208
O 8.6408 11.9454 5.0414
O 9.9475 1.7346 0.5265
O 9.8184 4.4552 3.3470
O 10.6879 1.0173 3.7631
O 10.8169 5.1726 0.9426
O 11.1095 8.5059 1.7813
O 10.9804 10.0637 4.6018
O 12.1542 2.6762 1.9492
O 12.0252 3.5137 4.7697
O 12.4558 6.4632 2.9527
O 12.5849 12.1063 0.1322
O 13.0905 7.1044 0.4292
O 12.9614 11.4652 3.2497
O 13.7375 8.7652 2.5736
O 13.6084 9.8044 5.3941
```


56
Lattice="7.3429 0.0000 0.0000 0.0000 11.2745 0.0000 0.0000 0.0000 9.9008" Properties=species:S:1:pos:R:3 comment="CrBiO5 GGA+U relaxed" polymorph_energy_mev_per_atom=0 pbc="T T T"
Cr 1.1664 1.5949 0.8792
Cr 1.1664 4.0423 5.8296
Cr 2.5051 7.2321 0.8792
Cr 2.5051 9.6796 5.8296
Cr 4.8378 1.5949 4.0713
Cr 4.8378 4.0423 9.0217
Cr 6.1765 7.2321 4.0713
Cr 6.1765 9.6796 9.0217
Bi 0.0614 6.6509 8.1670
Bi 0.0614 10.2609 3.2165
Bi 3.6101 1.0136 8.1670
Bi 3.6101 4.6236 3.2165
Bi 3.7328 6.6509 6.6843
Bi 3.7328 10.2609 1.7339
Bi 7.2815 1.0136 6.6843
Bi 7.2815 4.6236 1.7339
O 0.2825 0.8779 4.4318
O 0.2825 4.7593 9.3822
O 0.4222 7.4563 3.9085
O 0.4222 9.4555 8.8590
O 1.4926 1.3624 9.1325
O 1.4926 4.2749 4.1821
O 1.6088 0.2182 1.8312
O 1.6088 5.4191 6.7816
O 1.7891 8.2982 6.4021
O 1.7891 8.6135 1.4517
O 1.8824 2.6610 6.4021
O 1.8824 2.9763 1.4517
O 2.0627 5.8554 1.8312
O 2.0627 11.0563 6.7816
O 2.1788 6.9996 9.1325
O 2.1788 9.9121 4.1821
O 3.2492 1.8190 3.9085
O 3.2492 3.8182 8.8590
O 3.3889 6.5152 4.4318
O 3.3889 10.3966 9.3822
O 3.9540 0.8779 0.5186
O 3.9540 4.7593 5.4690
O 4.0937 7.4563 1.0419
O 4.0937 9.4555 5.9923
O 5.1641 1.3624 5.7187
O 5.1641 4.2749 0.7683
O 5.2802 0.2182 3.1192
O 5.2802 5.4191 8.0696
O 5.4605 8.2982 8.4491
O 5.4605 8.6135 3.4987
O 5.5538 2.6610 8.4491
O 5.5538 2.9763 3.4987
O 5.7341 5.8554 3.1192
O 5.7341 11.0563 8.0696
O 5.8503 6.9996 5.7187
O 5.8503 9.9121 0.7683
O 6.9207 1.8190 1.0419
O 6.9207 3.8182 5.9923
O 7.0604 6.5152 0.5186
O 7.0604 10.3966 5.4690


| no. | energy of formation (eV per atom) |
| --- | --- |
| 1 | -1.5827 |
| 2 | -1.4376 |